A relaxed structure of Ba4NdIr3O12. Source: the Materials Project, functional PBE-GGA.

Computed properties:
E_form = -2.3716 eV/atom

Unit cell a=10.404 b=5.999 c=10.790 alpha=90.00 beta=111.83 gamma=90.00
Space group C2/m (No. 12)
Symmetry-distinct sites (fractional):
Ba  0.129  0.000  0.387 [4 per cell]
Ba  0.224  0.500  0.148 [4 per cell]
Nd  0.000  0.000  0.000 [2 per cell]
Ir  0.000  0.500  0.500 [2 per cell]
Ir  0.072  0.500  0.755 [4 per cell]
O  0.019  0.264  0.853 [8 per cell]
O  0.116  0.266  0.634 [8 per cell]
O  0.125  0.500  0.392 [4 per cell]
O  0.239  0.000  0.112 [4 per cell]



A relaxed structure of Ba3NdIrRuO9. Source: the Materials Project, functional PBE-GGA.

Computed properties:
E_form = -2.5291 eV/atom

Unit cell a=6.0004 b=6.0004 c=14.9952 alpha=90.00 beta=90.00 gamma=120.00
Space group P6_3mc (No. 186)
Symmetry-distinct sites (fractional):
Ba  0.0000  0.0000  0.0000 [2 per cell]
Ba  0.3333  0.6667  0.1494 [2 per cell]
Ba  0.3333  0.6667  0.8521 [2 per cell]
Nd  0.0000  0.0000  0.2520 [2 per cell]
Ir  0.3333  0.6667  0.4171 [2 per cell]
Ru  0.3333  0.6667  0.5846 [2 per cell]
O  0.0192  0.5096  0.5012 [6 per cell]
O  0.1775  0.3550  0.3411 [6 per cell]
O  0.1784  0.3569  0.6575 [6 per cell]



A relaxed structure of Ba7Ir6O19. Source: the Materials Project, functional PBE-GGA.

Computed properties:
E_form = -2.0813 eV/atom

Unit cell a=15.033 b=5.828 c=11.196 alpha=90.00 beta=99.00 gamma=90.00
Space group C2/m (No. 12)
Symmetry-distinct sites (fractional):
Ba  0.000  0.000  0.000 [2 per cell]
Ba  0.074  0.000  0.662 [4 per cell]
Ba  0.144  0.500  0.445 [4 per cell]
Ba  0.195  0.500  0.090 [4 per cell]
Ir  0.023  0.500  0.823 [4 per cell]
Ir  0.155  0.000  0.282 [4 per cell]
Ir  0.183  0.500  0.766 [4 per cell]
O  0.000  0.500  0.000 [2 per cell]
O  0.058  0.500  0.650 [4 per cell]
O  0.071  0.251  0.206 [8 per cell]
O  0.102  0.000  0.436 [4 per cell]
O  0.125  0.267  0.867 [8 per cell]
O  0.202  0.000  0.113 [4 per cell]
O  0.244  0.271  0.663 [8 per cell]



A relaxed structure of Ba14Ir8Pd3O33. Source: the Materials Project, functional PBE-GGA.

Computed properties:
E_form = -2.0925 eV/atom
excess energy over the best structure of this formula in the dataset = 0.024 eV/atom

Unit cell a=10.2083 b=10.2083 c=30.7892 alpha=90.00 beta=90.00 gamma=120.00
Space group P321 (No. 150)
Symmetry-distinct sites (fractional):
Ba  0.0000  0.3498  0.0000 [3 per cell]
Ba  0.9997  0.6497  0.3595 [6 per cell]
Ba  0.0000  0.6705  0.5000 [3 per cell]
Ba  0.0023  0.3319  0.8563 [6 per cell]
Ba  0.0016  0.6694  0.2156 [6 per cell]
Ba  0.0140  0.3324  0.2893 [6 per cell]
Ba  0.0154  0.3331  0.5706 [6 per cell]
Ba  0.0157  0.6846  0.9297 [6 per cell]
Ir  0.0000  0.0000  0.0971 [2 per cell]
Ir  0.0000  0.0000  0.1806 [2 per cell]
Ir  0.0000  0.0000  0.2636 [2 per cell]
Ir  0.0000  0.0000  0.4571 [2 per cell]
Ir  0.3333  0.6667  0.1630 [2 per cell]
Ir  0.3333  0.6667  0.2471 [2 per cell]
Ir  0.3333  0.6667  0.3301 [2 per cell]
Ir  0.3333  0.6667  0.5230 [2 per cell]
Ir  0.3333  0.6667  0.6102 [2 per cell]
Ir  0.3333  0.6667  0.8047 [2 per cell]
Ir  0.3333  0.6667  0.8886 [2 per cell]
Ir  0.3333  0.6667  0.9717 [2 per cell]
Pd  0.0000  0.0000  0.0000 [1 per cell]
Pd  0.0000  0.0000  0.3603 [2 per cell]
Pd  0.3333  0.6667  0.0671 [2 per cell]
Pd  0.3333  0.6667  0.4260 [2 per cell]
Pd  0.3333  0.6667  0.7076 [2 per cell]
O  0.0000  0.1583  0.5000 [3 per cell]
O  0.0008  0.1606  0.2205 [6 per cell]
O  0.0022  0.8410  0.8597 [6 per cell]
O  0.0073  0.1578  0.0577 [6 per cell]
O  0.0069  0.8484  0.6975 [6 per cell]
O  0.0079  0.8476  0.4182 [6 per cell]
O  0.1664  0.5092  0.9293 [6 per cell]
O  0.1678  0.6597  0.2876 [6 per cell]
O  0.1728  0.6632  0.5668 [6 per cell]
O  0.1750  0.5078  0.2065 [6 per cell]
O  0.1775  0.6723  0.8484 [6 per cell]
O  0.1787  0.5178  0.4837 [6 per cell]
O  0.1791  0.5204  0.7653 [6 per cell]
O  0.1814  0.5053  0.3688 [6 per cell]
O  0.1827  0.5089  0.6499 [6 per cell]
O  0.1834  0.6768  0.0108 [6 per cell]
O  0.1847  0.6703  0.1235 [6 per cell]



A relaxed structure of Ba14Ir8Pd3O33. Source: the Materials Project, functional PBE-GGA.

Computed properties:
E_form = -2.1163 eV/atom
excess energy over the best structure of this formula in the dataset = 0.000 eV/atom

Unit cell a=17.817 b=10.273 c=30.583 alpha=90.00 beta=90.02 gamma=90.00
Space group C2 (No. 5)
Symmetry-distinct sites (fractional):
Ba  0.000  0.000  0.000 [2 per cell]
Ba  0.000  0.301  0.500 [2 per cell]
Ba  0.001  0.276  0.641 [4 per cell]
Ba  0.002  0.973  0.854 [4 per cell]
Ba  0.003  0.302  0.212 [4 per cell]
Ba  0.004  0.964  0.290 [4 per cell]
Ba  0.005  0.312  0.931 [4 per cell]
Ba  0.009  0.962  0.570 [4 per cell]
Ba  0.155  0.816  0.929 [4 per cell]
Ba  0.156  0.459  0.289 [4 per cell]
Ba  0.159  0.467  0.571 [4 per cell]
Ba  0.162  0.806  0.781 [4 per cell]
Ba  0.163  0.471  0.142 [4 per cell]
Ba  0.165  0.474  0.858 [4 per cell]
Ba  0.166  0.495  0.711 [4 per cell]
Ba  0.166  0.803  0.216 [4 per cell]
Ba  0.166  0.805  0.502 [4 per cell]
Ba  0.167  0.780  0.071 [4 per cell]
Ba  0.168  0.494  0.430 [4 per cell]
Ba  0.171  0.813  0.641 [4 per cell]
Ba  0.172  0.459  0.000 [4 per cell]
Ba  0.178  0.817  0.360 [4 per cell]
Ir  0.000  0.638  0.097 [4 per cell]
Ir  0.001  0.639  0.181 [4 per cell]
Ir  0.003  0.642  0.736 [4 per cell]
Ir  0.005  0.638  0.544 [4 per cell]
Ir  0.164  0.134  0.804 [4 per cell]
Ir  0.164  0.136  0.612 [4 per cell]
Ir  0.164  0.141  0.163 [4 per cell]
Ir  0.165  0.141  0.973 [4 per cell]
Ir  0.167  0.135  0.331 [4 per cell]
Ir  0.167  0.138  0.247 [4 per cell]
Ir  0.167  0.139  0.524 [4 per cell]
Ir  0.169  0.137  0.889 [4 per cell]
Pd  0.000  0.659  0.000 [2 per cell]
Pd  0.032  0.603  0.360 [4 per cell]
Pd  0.167  0.157  0.427 [4 per cell]
Pd  0.201  0.173  0.708 [4 per cell]
Pd  0.202  0.100  0.068 [4 per cell]
O  0.000  0.788  0.500 [2 per cell]
O  0.001  0.486  0.588 [4 per cell]
O  0.002  0.482  0.860 [4 per cell]
O  0.003  0.490  0.693 [4 per cell]
O  0.003  0.797  0.221 [4 per cell]
O  0.004  0.789  0.055 [4 per cell]
O  0.070  0.713  0.413 [4 per cell]
O  0.075  0.558  0.498 [4 per cell]
O  0.075  0.710  0.307 [4 per cell]
O  0.076  0.554  0.058 [4 per cell]
O  0.078  0.720  0.859 [4 per cell]
O  0.079  0.566  0.942 [4 per cell]
O  0.080  0.223  0.132 [4 per cell]
O  0.080  0.558  0.222 [4 per cell]
O  0.080  0.561  0.779 [4 per cell]
O  0.081  0.058  0.772 [4 per cell]
O  0.081  0.716  0.140 [4 per cell]
O  0.083  0.043  0.645 [4 per cell]
O  0.084  0.065  0.929 [4 per cell]
O  0.084  0.211  0.288 [4 per cell]
O  0.085  0.211  0.567 [4 per cell]
O  0.085  0.233  0.006 [4 per cell]
O  0.086  0.733  0.704 [4 per cell]
O  0.090  0.056  0.487 [4 per cell]
O  0.091  0.055  0.207 [4 per cell]
O  0.092  0.717  0.576 [4 per cell]
O  0.093  0.048  0.370 [4 per cell]
O  0.093  0.220  0.849 [4 per cell]
O  0.161  0.287  0.656 [4 per cell]
O  0.162  0.287  0.372 [4 per cell]
O  0.163  0.986  0.015 [4 per cell]
O  0.164  0.287  0.482 [4 per cell]
O  0.165  0.297  0.207 [4 per cell]
O  0.166  0.980  0.848 [4 per cell]
O  0.166  0.990  0.120 [4 per cell]
O  0.168  0.283  0.761 [4 per cell]
O  0.171  0.298  0.929 [4 per cell]
O  0.171  0.977  0.288 [4 per cell]
O  0.171  0.985  0.567 [4 per cell]
O  0.238  0.062  0.760 [4 per cell]
O  0.239  0.211  0.120 [4 per cell]
O  0.243  0.068  0.655 [4 per cell]
O  0.244  0.225  0.289 [4 per cell]
O  0.244  0.226  0.568 [4 per cell]
O  0.245  0.060  0.206 [4 per cell]
O  0.245  0.063  0.486 [4 per cell]
O  0.246  0.048  0.931 [4 per cell]
O  0.246  0.207  0.015 [4 per cell]
O  0.247  0.211  0.848 [4 per cell]
O  0.249  0.063  0.369 [4 per cell]